First-principles (PBE-GGA) data for Na14Nb5Ga3Si12O48 after structural relaxation, as listed in Materials Project.

CIF file:
```
data_Na14Nb5Ga3Si12O48
_chemical_formula_sum 'Na42 Nb15 Ga9 Si36 O144'
_space_group_name_H-M_alt 'P 1'
_space_group_IT_number 1
_cell_length_a 9.0485
_cell_length_b 15.6662
_cell_length_c 22.3608
_cell_angle_alpha 89.90
_cell_angle_beta 89.96
_cell_angle_gamma 89.94
loop_
_space_group_symop_operation_xyz
'x,y,z'
loop_
_atom_site_label
_atom_site_type_symbol
_atom_site_fract_x
_atom_site_fract_y
_atom_site_fract_z
Na1 Na 0.0000 0.0000 0.0000
Na2 Na 0.0005 0.3335 0.3335
Na3 Na 0.1270 0.8387 0.5851
Na4 Na 0.1292 0.5091 0.2501
Na5 Na 0.1322 0.1721 0.4144
Na6 Na 0.1320 0.1718 0.9137
Na7 Na 0.1343 0.8370 0.0823
Na8 Na 0.1359 0.5089 0.7506
Na9 Na 0.2620 0.0008 0.4999
Na10 Na 0.2647 0.3332 0.8335
Na11 Na 0.3086 0.0251 0.8333
Na12 Na 0.3114 0.6934 0.4997
Na13 Na 0.3143 0.3537 0.1702
Na14 Na 0.3240 0.3225 0.4999
Na15 Na 0.3240 0.9898 0.1675
Na16 Na 0.3246 0.6584 0.8330
Na17 Na 0.4407 0.1573 0.3330
Na18 Na 0.4415 0.8249 0.0002
Na19 Na 0.4503 0.8544 0.6717
Na20 Na 0.4568 0.1913 0.0004
Na21 Na 0.4567 0.5258 0.3328
Na22 Na 0.5011 0.8335 0.3328
Na23 Na 0.5037 0.5011 0.9994
Na24 Na 0.6270 0.3387 0.5850
Na25 Na 0.6321 0.0051 0.2467
Na26 Na 0.6324 0.6726 0.4142
Na27 Na 0.6326 0.6729 0.9139
Na28 Na 0.6357 0.0088 0.7514
Na29 Na 0.6360 0.3406 0.0824
Na30 Na 0.7620 0.1667 0.1673
Na31 Na 0.7618 0.5009 0.5000
Na32 Na 0.7638 0.8340 0.8339
Na33 Na 0.8079 0.5254 0.8328
Na34 Na 0.8087 0.8594 0.1677
Na35 Na 0.8113 0.1931 0.4997
Na36 Na 0.8242 0.1575 0.8334
Na37 Na 0.8239 0.8227 0.4997
Na38 Na 0.9396 0.3215 0.9989
Na39 Na 0.9395 0.6579 0.3329
Na40 Na 0.9502 0.3543 0.6716
Na41 Na 0.9525 0.6943 0.9987
Na42 Na 0.9563 0.0252 0.3330
Nb1 Nb 0.1281 0.8390 0.7313
Nb2 Nb 0.1307 0.5085 0.1075
Nb3 Nb 0.1320 0.5054 0.8977
Nb4 Nb 0.1325 0.1710 0.0661
Nb5 Nb 0.1330 0.1718 0.5678
Nb6 Nb 0.1327 0.5054 0.3982
Nb7 Nb 0.1344 0.5076 0.6083
Nb8 Nb 0.1344 0.8359 0.2313
Nb9 Nb 0.6278 0.3388 0.7311
Nb10 Nb 0.6321 0.0054 0.8992
Nb11 Nb 0.6316 0.6733 0.0672
Nb12 Nb 0.6325 0.0054 0.3977
Nb13 Nb 0.6329 0.6721 0.5678
Nb14 Nb 0.6344 0.0076 0.6083
Nb15 Nb 0.6349 0.3418 0.2316
Ga1 Ga 0.1325 0.8390 0.4362
Ga2 Ga 0.1317 0.8398 0.9361
Ga3 Ga 0.1326 0.1717 0.2705
Ga4 Ga 0.1326 0.1716 0.7710
Ga5 Ga 0.6320 0.0050 0.1036
Ga6 Ga 0.6318 0.6720 0.2703
Ga7 Ga 0.6324 0.6719 0.7710
Ga8 Ga 0.6328 0.3377 0.9360
Ga9 Ga 0.6326 0.3387 0.4363
Si1 Si 0.2725 0.9845 0.3373
Si2 Si 0.2757 0.0288 0.6728
Si3 Si 0.2767 0.6536 0.0014
Si4 Si 0.2780 0.3155 0.6720
Si5 Si 0.2823 0.3601 0.0027
Si6 Si 0.2816 0.6952 0.3384
Si7 Si 0.3422 0.0028 0.0046
Si8 Si 0.3434 0.3361 0.3376
Si9 Si 0.3448 0.6713 0.6728
Si10 Si 0.4208 0.8364 0.8373
Si11 Si 0.4235 0.1697 0.1715
Si12 Si 0.4259 0.5036 0.5023
Si13 Si 0.4827 0.8600 0.5028
Si14 Si 0.4840 0.1954 0.8377
Si15 Si 0.4885 0.1532 0.5018
Si16 Si 0.4887 0.5302 0.1721
Si17 Si 0.4899 0.8180 0.1718
Si18 Si 0.4923 0.4848 0.8381
Si19 Si 0.7733 0.1517 0.0046
Si20 Si 0.7733 0.4856 0.3384
Si21 Si 0.7755 0.5289 0.6728
Si22 Si 0.7782 0.8155 0.6720
Si23 Si 0.7807 0.1960 0.3372
Si24 Si 0.7813 0.8616 0.0047
Si25 Si 0.8391 0.5037 0.0022
Si26 Si 0.8439 0.8360 0.3373
Si27 Si 0.8449 0.1712 0.6728
Si28 Si 0.9184 0.6709 0.1725
Si29 Si 0.9206 0.3361 0.8369
Si30 Si 0.9256 0.0036 0.5022
Si31 Si 0.9830 0.0276 0.1719
Si32 Si 0.9826 0.3599 0.5029
Si33 Si 0.9840 0.6960 0.8377
Si34 Si 0.9884 0.6533 0.5019
Si35 Si 0.9889 0.3164 0.1715
Si36 Si 0.9913 0.9852 0.8378
O1 O 0.0102 0.0881 0.2290
O2 O 0.0104 0.7533 0.8966
O3 O 0.0142 0.5892 0.4438
O4 O 0.0154 0.2561 0.1113
O5 O 0.0166 0.4213 0.5603
O6 O 0.0167 0.9200 0.7801
O7 O 0.0193 0.7593 0.1752
O8 O 0.0248 0.0917 0.5081
O9 O 0.0246 0.4250 0.8418
O10 O 0.0273 0.9195 0.4978
O11 O 0.0280 0.5882 0.1623
O12 O 0.0297 0.2542 0.8310
O13 O 0.0613 0.0800 0.8310
O14 O 0.0635 0.7461 0.4977
O15 O 0.0652 0.2659 0.5076
O16 O 0.0651 0.9431 0.8965
O17 O 0.0656 0.0724 0.1122
O18 O 0.0662 0.4051 0.4446
O19 O 0.0657 0.6000 0.8418
O20 O 0.0657 0.6028 0.5579
O21 O 0.0656 0.9331 0.1749
O22 O 0.0665 0.4104 0.1621
O23 O 0.0676 0.2765 0.2294
O24 O 0.0698 0.7401 0.7799
O25 O 0.1956 0.2764 0.7291
O26 O 0.1959 0.7398 0.2805
O27 O 0.1984 0.4096 0.6614
O28 O 0.1993 0.2666 0.0082
O29 O 0.1987 0.4053 0.9448
O30 O 0.1989 0.5999 0.3418
O31 O 0.1988 0.9425 0.3962
O32 O 0.2000 0.6030 0.0580
O33 O 0.2014 0.7462 0.9981
O34 O 0.2032 0.0798 0.3306
O35 O 0.2037 0.0730 0.6113
O36 O 0.2068 0.9312 0.6746
O37 O 0.2355 0.2539 0.3308
O38 O 0.2354 0.9204 0.9973
O39 O 0.2377 0.5879 0.6621
O40 O 0.2403 0.0918 0.0084
O41 O 0.2405 0.4251 0.3417
O42 O 0.2449 0.7594 0.6746
O43 O 0.2459 0.2575 0.6108
O44 O 0.2479 0.4213 0.0606
O45 O 0.2502 0.9216 0.2784
O46 O 0.2506 0.5890 0.9438
O47 O 0.2522 0.0859 0.7305
O48 O 0.2550 0.7535 0.3969
O49 O 0.3059 0.8508 0.4977
O50 O 0.3068 0.1588 0.5077
O51 O 0.3067 0.1834 0.8304
O52 O 0.3073 0.8283 0.1751
O53 O 0.3077 0.4915 0.8418
O54 O 0.3095 0.5136 0.1623
O55 O 0.3112 0.4898 0.5582
O56 O 0.3154 0.1894 0.1119
O57 O 0.3168 0.5229 0.4440
O58 O 0.3166 0.8566 0.7779
O59 O 0.3201 0.1542 0.2291
O60 O 0.3207 0.8202 0.8961
O61 O 0.4428 0.6560 0.7308
O62 O 0.4438 0.3205 0.3962
O63 O 0.4442 0.9874 0.0625
O64 O 0.4485 0.3565 0.2783
O65 O 0.4487 0.0230 0.9451
O66 O 0.4488 0.6875 0.6117
O67 O 0.4555 0.0140 0.6621
O68 O 0.4570 0.9917 0.3418
O69 O 0.4577 0.3263 0.6745
O70 O 0.4581 0.6584 0.0078
O71 O 0.4584 0.6829 0.3309
O72 O 0.4591 0.3510 0.9982
O73 O 0.5087 0.2536 0.8966
O74 O 0.5129 0.5849 0.2309
O75 O 0.5141 0.0893 0.4437
O76 O 0.5165 0.4199 0.7803
O77 O 0.5166 0.9212 0.5603
O78 O 0.5185 0.7570 0.1115
O79 O 0.5244 0.9251 0.8418
O80 O 0.5246 0.2583 0.1749
O81 O 0.5247 0.5917 0.5081
O82 O 0.5272 0.4195 0.4977
O83 O 0.5286 0.0867 0.1639
O84 O 0.5296 0.7541 0.8310
O85 O 0.5588 0.4318 0.1750
O86 O 0.5613 0.5797 0.8312
O87 O 0.5618 0.5727 0.1109
O88 O 0.5619 0.9127 0.1639
O89 O 0.5636 0.2461 0.4977
O90 O 0.5651 0.7659 0.5077
O91 O 0.5659 0.1000 0.8416
O92 O 0.5657 0.1029 0.5579
O93 O 0.5658 0.4425 0.8970
O94 O 0.5663 0.9052 0.4446
O95 O 0.5671 0.7753 0.2292
O96 O 0.5696 0.2406 0.7801
O97 O 0.6957 0.7764 0.7290
O98 O 0.6972 0.2388 0.2781
O99 O 0.6981 0.9050 0.9452
O100 O 0.6984 0.9095 0.6614
O101 O 0.6992 0.1003 0.3418
O102 O 0.6986 0.1085 0.0624
O103 O 0.6990 0.4426 0.3967
O104 O 0.6993 0.7660 0.0082
O105 O 0.7029 0.2465 0.9971
O106 O 0.7038 0.5730 0.6113
O107 O 0.7036 0.5801 0.3312
O108 O 0.7067 0.4312 0.6747
O109 O 0.7353 0.7543 0.3311
O110 O 0.7377 0.0879 0.6621
O111 O 0.7379 0.4196 0.9982
O112 O 0.7405 0.5918 0.0083
O113 O 0.7409 0.9250 0.3419
O114 O 0.7449 0.2594 0.6747
O115 O 0.7459 0.7575 0.6108
O116 O 0.7485 0.4203 0.2804
O117 O 0.7501 0.0887 0.9451
O118 O 0.7520 0.5859 0.7306
O119 O 0.7539 0.9206 0.0624
O120 O 0.7547 0.2540 0.3959
O121 O 0.8059 0.0165 0.1640
O122 O 0.8059 0.3508 0.4976
O123 O 0.8072 0.3226 0.1749
O124 O 0.8067 0.6586 0.5077
O125 O 0.8069 0.6833 0.8305
O126 O 0.8070 0.9918 0.8414
O127 O 0.8113 0.9899 0.5582
O128 O 0.8162 0.6879 0.1117
O129 O 0.8167 0.0230 0.4440
O130 O 0.8169 0.3571 0.7777
O131 O 0.8214 0.3211 0.8960
O132 O 0.8227 0.6560 0.2312
O133 O 0.9429 0.1563 0.7308
O134 O 0.9441 0.8204 0.3961
O135 O 0.9483 0.5228 0.9442
O136 O 0.9487 0.1877 0.6117
O137 O 0.9493 0.8567 0.2782
O138 O 0.9539 0.4902 0.0584
O139 O 0.9555 0.5140 0.6621
O140 O 0.9575 0.1588 0.0085
O141 O 0.9580 0.1832 0.3304
O142 O 0.9577 0.4916 0.3416
O143 O 0.9579 0.8262 0.6745
O144 O 0.9582 0.8493 0.9971
```

## Properties
E_form, eV/atom: -2.8286
VASP energy, eV/atom: -7.07